No. 1
A relaxed structure of MnN2Cl6. Source: Materials Project, functional PBE.

Computed properties:
* energy: -29.24 eV/f.u.
* spin magnetization: 0.932 μB per cell
* E_form: 386.1 kJ/mol of formula units

abc: 6.973 6.973 6.973
angles: 60.00 60.00 60.00
Element x y z (fractional)
Mn  0.000  0.000  0.000
N  0.250  0.250  0.250
N  0.750  0.750  0.750
Cl  0.227  0.227  0.773
Cl  0.227  0.773  0.227
Cl  0.227  0.773  0.773
Cl  0.773  0.227  0.227
Cl  0.773  0.227  0.773
Cl  0.773  0.773  0.227

=====

No. 2
A relaxed structure of CsLaH4S2O8. Source: Materials Project, functional PBE.

Computed properties:
* energy: -82.33 eV/f.u.
* spin magnetization: 16.000 μB per cell
* E_form: -1984.0 kJ/mol of formula units

abc: 6.321 20.630 9.251
angles: 90.00 92.69 90.00
Element x y z (fractional)
Cs  0.138  0.206  0.128
Cs  0.138  0.294  0.628
Cs  0.862  0.706  0.372
Cs  0.862  0.794  0.872
La  0.374  0.640  0.728
La  0.374  0.860  0.228
La  0.626  0.140  0.772
La  0.626  0.360  0.272
H  0.125  0.101  0.364
H  0.125  0.399  0.864
H  0.258  0.605  0.428
H  0.258  0.895  0.928
H  0.306  0.555  0.978
H  0.306  0.945  0.478
H  0.334  0.004  0.173
H  0.334  0.496  0.673
H  0.666  0.504  0.327
H  0.666  0.996  0.827
H  0.694  0.055  0.522
H  0.694  0.445  0.022
H  0.742  0.105  0.072
H  0.742  0.395  0.572
H  0.875  0.601  0.136
H  0.875  0.899  0.636
S  0.189  0.073  0.776
S  0.189  0.427  0.276
S  0.378  0.718  0.101
S  0.378  0.782  0.601
S  0.622  0.218  0.399
S  0.622  0.282  0.899
S  0.811  0.573  0.724
S  0.811  0.927  0.224
O  0.008  0.613  0.705
O  0.008  0.887  0.205
O  0.139  0.005  0.763
O  0.139  0.495  0.263
O  0.185  0.743  0.635
O  0.185  0.757  0.135
O  0.299  0.100  0.647
O  0.299  0.400  0.147
O  0.343  0.088  0.903
O  0.343  0.412  0.403
O  0.362  0.701  0.943
O  0.362  0.799  0.443
O  0.407  0.661  0.191
O  0.407  0.839  0.691
O  0.439  0.235  0.875
O  0.439  0.265  0.375
O  0.561  0.735  0.625
O  0.561  0.765  0.125
O  0.593  0.161  0.309
O  0.593  0.339  0.809
O  0.638  0.201  0.557
O  0.638  0.299  0.057
O  0.657  0.588  0.597
O  0.657  0.912  0.097
O  0.701  0.600  0.853
O  0.701  0.900  0.353
O  0.815  0.243  0.865
O  0.815  0.257  0.365
O  0.861  0.505  0.737
O  0.861  0.995  0.237
O  0.992  0.113  0.795
O  0.992  0.387  0.295

=====

No. 3
A relaxed structure of TaNi3. Source: Materials Project, functional PBE.

Computed properties:
* energy: -28.69 eV/f.u.
* spin magnetization: 0.098 μB per cell
* E_form: 48.8 kJ/mol of formula units

abc: 2.695 2.695 8.209
angles: 90.00 90.00 120.00
Element x y z (fractional)
Ta  0.000  0.000  0.000
Ni  0.000  0.000  0.500
Ni  0.667  0.333  0.262
Ni  0.667  0.333  0.738